Below is a relaxed structure of GdSF, with properties calculated at the PBE level.

Geometry as POSCAR:
```
GdSF
1.0
3.8494 0.0000 0.0000
0.0000 3.8494 0.0000
0.0000 0.0000 6.9195
Gd S F
2 2 2
Cartesian
0.9623 0.9623 1.5948
2.8870 2.8870 5.3246
0.9623 0.9623 4.4577
2.8870 2.8870 2.4618
0.9623 2.8870 0.0000
2.8870 0.9623 0.0000
```

Space group = P4/nmm, No. 129
ρ = 6.75 Mg/m³
ΔH_f (0 K) = -3.294 eV/atom
Uncorrected energy = -58.09 eV/cell
MP2020-corrected energy = -10.003 eV/atom
V = 102.53 Å³/cell